Entry 1:
# SmEuHg2

A relaxed structure of SmEuHg2 (PBE, the Materials Project).

Lattice parameters (Å, degrees): 5.4408 5.4408 5.4408 60.00 60.00 60.00
Element x y z (fractional)
1 Sm 0.0000 0.0000 0.0000
2 Eu 0.5000 0.5000 0.5000
3 Hg 0.2500 0.2500 0.2500
4 Hg 0.7500 0.7500 0.7500

Summary:
Space group = Fm-3m, No. 225

=====

Entry 2:
# Eu2SnHg

A relaxed structure of Eu2SnHg (PBE, the Materials Project).

Lattice parameters (Å, degrees): 5.5917 5.5917 5.5917 60.00 60.00 60.00
Element x y z (fractional)
1 Eu 0.2500 0.2500 0.2500
2 Eu 0.7500 0.7500 0.7500
3 Sn 0.0000 0.0000 0.0000
4 Hg 0.5000 0.5000 0.5000

Summary:
Space group = Fm-3m, No. 225

=====

Entry 3:
# SrEuHg2

A relaxed structure of SrEuHg2 (PBE, the Materials Project).

Lattice parameters (Å, degrees): 5.6273 5.6273 5.6273 60.00 60.00 60.00
Element x y z (fractional)
1 Sr 0.0000 0.0000 0.0000
2 Eu 0.5000 0.5000 0.5000
3 Hg 0.2500 0.2500 0.2500
4 Hg 0.7500 0.7500 0.7500

Summary:
Space group = Fm-3m, No. 225

=====

Asked for E across the records above, the calculation gives -4.399 -6.877 -3.677 eV per atom in order.